DFT (r²SCAN) results for a relaxed structure of H4W.

a = 3.073 Å, b = 3.073 Å, c = 7.005 Å
α = 90.00°, β = 90.00°, γ = 90.00°
Element x y z (fractional)
1 H 0.000 0.500 0.873
2 H 0.500 0.000 0.127
3 H 0.000 0.500 0.382
4 H 0.500 0.000 0.618
5 H 0.000 0.000 0.715
6 H 0.500 0.500 0.285
7 H 0.000 0.000 0.285
8 H 0.500 0.500 0.715
9 W 0.000 0.500 0.137
10 W 0.500 0.000 0.863

Computed properties:
Energy of formation from the pure elements ... 0.150 eV/atom